Record 1
Density functional theory data (PBE) for crystalline Na6Mg3SnP4S2O24 at its relaxed geometry.

Values from the calculation:
energy relative to the elements: -2.560 eV/atom
VASP energy: -6.283 eV per atom
crystal system: triclinic

Lattice parameters (Å, degrees): 8.9098 8.9187 22.2059 90.14 90.05 119.78
Last column: nearest neighbours and their distance in Å.
Space group P1 (No. 1)
Unique sites:
1 Na 0.0000 0.0000 0.0000  5 O 2.41-2.61
2 Na 0.0004 0.3715 0.7511  6 O 2.50-2.60
3 Na 0.0070 0.7371 0.5001  6 O 2.42-2.60
4 Na 0.0315 0.0492 0.6689  5 O 2.40-2.64
5 Na 0.3110 0.6998 0.6691  5 O 2.40-2.63
6 Na 0.3289 0.6718 0.3329  4 O 2.39-2.58
7 Na 0.3296 0.0339 0.0896  4 O 2.40-2.66
8 Na 0.3374 0.0310 0.5881  6 O 2.44-2.72
9 Na 0.3618 0.3614 0.5020  5 O 2.41-2.53
10 Na 0.3762 0.7281 0.9988  6 O 2.43-2.70
11 Na 0.6250 0.3550 0.0013  6 O 2.42-2.64
12 Na 0.6311 0.9841 0.4981  6 O 2.43-2.65
13 Na 0.6589 0.0552 0.1696  5 O 2.37-2.53
14 Na 0.6595 0.6832 0.9117  6 O 2.47-2.67
15 Na 0.6721 0.6971 0.4163  6 O 2.50-2.59
16 Na 0.6983 0.0267 0.8293  5 O 2.42-2.60
17 Na 0.9715 0.0294 0.3351  5 O 2.35-2.63
18 Na 0.9921 0.3714 0.2512  6 O 2.44-2.65
19 Mg 0.0077 0.3605 0.8970  6 O 1.96-2.16
20 Mg 0.3271 0.0151 0.4295  5 O 2.00-2.14
21 Mg 0.3305 0.0210 0.2296  6 O 2.02-2.14
22 Mg 0.3385 0.0354 0.9303  6 O 2.03-2.22
23 Mg 0.3393 0.0347 0.7296  6 O 2.04-2.14
24 Mg 0.6640 0.6925 0.0678  5 O 1.97-2.16
25 Mg 0.6660 0.6958 0.5703  5 O 1.99-2.21
26 Mg 0.6671 0.6851 0.7618  4 O 1.96-2.16
27 Mg 0.9944 0.3601 0.3962  6 O 2.04-2.19
28 Sn 0.0013 0.3614 0.6014  6 O 2.04-2.12
29 Sn 0.0048 0.3589 0.1021  6 O 2.02-2.15
30 Sn 0.6720 0.6921 0.2627  6 O 2.00-2.21
31 P 0.0011 0.0656 0.4966  4 O 1.52-1.59
32 P 0.0381 0.7311 0.3321  4 O 1.52-1.60
33 P 0.2953 0.3618 0.9970  4 O 1.51-1.59
34 P 0.2963 0.6547 0.4967  4 O 1.52-1.59
35 P 0.3710 0.6936 0.1642  4 O 1.52-1.59
36 P 0.3766 0.3989 0.6641  4 O 1.52-1.62
37 P 0.6300 0.0291 0.3310  4 O 1.52-1.63
38 P 0.6653 0.3965 0.1620  4 O 1.52-1.59
39 P 0.6661 0.9894 0.6660  4 O 1.53-1.59
40 P 0.7063 0.0658 0.9967  4 O 1.53-1.59
41 P 0.9606 0.6937 0.6645  4 O 1.51-1.60
42 P 0.9672 0.9882 0.1629  4 O 1.51-1.59
43 S 0.0010 0.6529 0.9970  4 O 1.46-1.51
44 S 0.0379 0.0250 0.8325  4 O 1.47-1.50
45 S 0.3323 0.7318 0.8325  4 O 1.47-1.50
46 S 0.3372 0.3200 0.3326  4 O 1.45-1.52
47 S 0.6297 0.3245 0.8332  4 O 1.47-1.50
48 S 0.7057 0.3604 0.4972  4 O 1.46-1.51
49 O 0.0161 0.1814 0.8365  1 S 1.50
50 O 0.0225 0.5518 0.3384  1 P 1.54
51 O 0.0331 0.1795 0.5554  1 P 1.59
52 O 0.0377 0.5800 0.0528  1 S 1.51
53 O 0.1061 0.8405 0.3906  1 P 1.55
54 O 0.1200 0.0054 0.8877  1 S 1.48
55 O 0.1422 0.0454 0.7786  1 S 1.47
56 O 0.1455 0.0123 0.1717  1 P 1.51
57 O 0.1459 0.8532 0.6710  1 P 1.56
58 O 0.1534 0.8215 0.2786  1 P 1.52
59 O 0.1560 0.8272 0.9913  1 S 1.49
60 O 0.1689 0.0539 0.4932  1 P 1.55
61 O 0.1780 0.3219 0.0550  1 P 1.59
62 O 0.1777 0.5593 0.8380  1 S 1.47
63 O 0.1784 0.5758 0.5547  1 P 1.59
64 O 0.1817 0.3422 0.3373  1 S 1.50
65 O 0.1870 0.3820 0.6610  1 P 1.62
66 O 0.1877 0.5280 0.1611  1 P 1.57
67 O 0.2081 0.5387 0.4425  1 P 1.52
68 O 0.2086 0.3984 0.9449  1 P 1.51
69 O 0.3096 0.1955 0.9919  1 P 1.55
70 O 0.3126 0.8164 0.7784  1 S 1.48
71 O 0.3136 0.2134 0.2800  1 S 1.45
72 O 0.3167 0.8375 0.4938  1 P 1.55
73 O 0.3411 0.2125 0.6713  1 P 1.54
74 O 0.3577 0.8398 0.8875  1 S 1.50
75 O 0.3585 0.8568 0.1713  1 P 1.52
76 O 0.3631 0.2470 0.3886  1 S 1.48
77 O 0.4492 0.6589 0.2232  1 P 1.59
78 O 0.4564 0.5195 0.7177  1 P 1.52
79 O 0.4726 0.4741 0.6047  1 P 1.53
80 O 0.4761 0.6696 0.5039  1 P 1.55
81 O 0.4780 0.5213 0.0044  1 P 1.55
82 O 0.4815 0.7180 0.1089  1 P 1.52
83 O 0.4923 0.5011 0.3279  1 S 1.52
84 O 0.4940 0.7201 0.8282  1 S 1.50
85 O 0.5040 0.0065 0.6728  1 P 1.53
86 O 0.5108 0.2155 0.1700  1 P 1.52
87 O 0.5202 0.9955 0.3885  1 P 1.55
88 O 0.5224 0.0441 0.9926  1 P 1.55
89 O 0.5304 0.2469 0.8896  1 S 1.49
90 O 0.5320 0.2059 0.4915  1 S 1.48
91 O 0.5437 0.2090 0.7816  1 S 1.47
92 O 0.5450 0.0483 0.2745  1 P 1.52
93 O 0.6398 0.8834 0.6082  1 P 1.54
94 O 0.6427 0.8530 0.3269  1 P 1.63
95 O 0.6479 0.4817 0.1055  1 P 1.52
96 O 0.6479 0.4968 0.8271  1 S 1.47
97 O 0.6893 0.5165 0.5045  1 S 1.48
98 O 0.6917 0.8864 0.0039  1 P 1.55
99 O 0.7010 0.5105 0.2200  1 P 1.57
100 O 0.7040 0.9125 0.7221  1 P 1.54
101 O 0.7793 0.3235 0.5531  1 S 1.51
102 O 0.7850 0.1842 0.0548  1 P 1.59
103 O 0.8037 0.3362 0.8382  1 S 1.50
104 O 0.8172 0.1797 0.3367  1 P 1.54
105 O 0.8184 0.3892 0.4459  1 S 1.46
106 O 0.8217 0.1536 0.9425  1 P 1.53
107 O 0.8330 0.3763 0.1602  1 P 1.59
108 O 0.8373 0.1725 0.6601  1 P 1.59
109 O 0.8404 0.8841 0.5034  1 P 1.55
110 O 0.8456 0.6715 0.0042  1 S 1.48
111 O 0.8484 0.9132 0.2211  1 P 1.59
112 O 0.8495 0.6656 0.7192  1 P 1.51
113 O 0.8523 0.7165 0.3263  1 P 1.60
114 O 0.8606 0.8712 0.8286  1 S 1.49
115 O 0.8793 0.8826 0.1069  1 P 1.52
116 O 0.8854 0.7204 0.6058  1 P 1.54
117 O 0.9702 0.1681 0.1613  1 P 1.59
118 O 0.9705 0.1528 0.4427  1 P 1.52
119 O 0.9711 0.5401 0.9454  1 S 1.46
120 O 0.9874 0.5297 0.6604  1 P 1.60



Record 2
Density functional theory data (PBE) for crystalline Cr12Fe3S20 at its relaxed geometry.

Values from the calculation:
energy relative to the elements: -0.895 eV/atom
VASP energy: -7.006 eV per atom
crystal system: triclinic

Lattice parameters (Å, degrees): 7.7862 7.9762 8.6466 78.54 75.72 88.62
Last column: nearest neighbours and their distance in Å.
Space group P-1 (No. 2)
Unique sites:
1 Cr 0.0336 0.0159 0.3352  6 S 2.25-2.49
2 Cr 0.1565 0.1767 0.8673  6 S 2.26-2.46
3 Cr 0.1988 0.6970 0.6998  6 S 2.36-2.40
4 Cr 0.2404 0.2180 0.5368  6 S 2.25-2.46
5 Cr 0.3646 0.3840 0.0785  6 S 2.27-2.47
6 Cr 0.4413 0.4220 0.7308  6 S 2.28-2.48
7 Fe 0.0000 0.5000 0.5000  6 S 2.29-2.36
8 Fe 0.4078 0.9090 0.9087  6 S 2.27-2.49
9 S 0.0252 0.7417 0.3018  3 Cr 2.25-2.27, 1 Fe 2.29
10 S 0.1002 0.8751 0.8956  4 Cr 2.39-2.47, 1 Fe 2.45
11 S 0.1049 0.3244 0.3093  1 Fe 2.36, 4 Cr 2.40-2.49
12 S 0.1770 0.4504 0.9072  4 Cr 2.28-2.36
13 S 0.2269 0.9476 0.4936  4 Cr 2.25-2.37
14 S 0.2930 0.0801 0.0963  2 Fe 2.32, 3 Cr 2.46-2.49
15 S 0.3003 0.5232 0.5026  1 Fe 2.36, 4 Cr 2.38-2.48
16 S 0.3773 0.6633 0.0979  1 Fe 2.27, 3 Cr 2.27-2.29
17 S 0.4242 0.1420 0.7030  3 Cr 2.26-2.30, 1 Fe 2.28
18 S 0.4972 0.2724 0.2994  4 Cr 2.39-2.46, 1 Fe 2.49



The lowest energy relative to the elements belongs to which entry? Na6Mg3SnP4S2O24